(1)
A plane-wave DFT calculation with PBE-GGA was carried out for Y2MgSe4 after structural relaxation.

Space group: Fd-3m (227)
Volume, Å³/atom: 28.63
Formation enthalpy at 0 K, eV/atom: -1.971
Electronic total energy, eV/atom: -5.78

a b c (Å): 8.2759 8.2759 8.2759
angles (deg): 60.00 60.00 60.00
With the nearest neighbours (Å) after each atom.
Fractional positions:
Y 0.6250 0.1250 0.6250  6 Se 2.87
Y 0.6250 0.6250 0.6250  6 Se 2.87
Y 0.1250 0.6250 0.6250  6 Se 2.87
Y 0.6250 0.6250 0.1250  6 Se 2.87
Mg 0.2500 0.2500 0.2500  4 Se 2.62
Mg 0.0000 0.0000 0.0000  4 Se 2.62
Se 0.8705 0.8705 0.3885  1 Mg 2.62, 3 Y 2.87
Se 0.3795 0.8615 0.3795  1 Mg 2.62, 3 Y 2.87
Se 0.3795 0.3795 0.8615  1 Mg 2.62, 3 Y 2.87
Se 0.8705 0.8705 0.8705  1 Mg 2.62, 3 Y 2.87
Se 0.8705 0.3885 0.8705  1 Mg 2.62, 3 Y 2.87
Se 0.8615 0.3795 0.3795  1 Mg 2.62, 3 Y 2.87
Se 0.3795 0.3795 0.3795  1 Mg 2.62, 3 Y 2.87
Se 0.3885 0.8705 0.8705  1 Mg 2.62, 3 Y 2.87

(2)
A plane-wave DFT calculation with PBE-GGA was carried out for KGdHfTiO6 after structural relaxation.

Space group: F-43m (216)
Volume, Å³/atom: 12.88
Formation enthalpy at 0 K, eV/atom: -3.396
Electronic total energy, eV/atom: -9.26

a b c (Å): 5.6689 5.6689 5.6689
angles (deg): 60.00 60.00 60.00
With the nearest neighbours (Å) after each atom.
Fractional positions:
K 0.2500 0.2500 0.2500  12 O 2.83
Gd 0.7500 0.7500 0.7500  12 O 2.83
Hf 0.0000 0.0000 0.0000  6 O 2.05
Ti 0.5000 0.5000 0.5000  6 O 1.95
O 0.7438 0.2562 0.2562  1 Ti 1.95, 1 Hf 2.05
O 0.2562 0.7438 0.7438  1 Ti 1.95, 1 Hf 2.05
O 0.7438 0.2562 0.7438  1 Ti 1.95, 1 Hf 2.05
O 0.2562 0.7438 0.2562  1 Ti 1.95, 1 Hf 2.05
O 0.7438 0.7438 0.2562  1 Ti 1.95, 1 Hf 2.05
O 0.2562 0.2562 0.7438  1 Ti 1.95, 1 Hf 2.05

(3)
A plane-wave DFT calculation with PBE-GGA was carried out for FeN2Cl2 after structural relaxation.

Space group: Cmmm (65)
Volume, Å³/atom: 19.02
Formation enthalpy at 0 K, eV/atom: 0.944
Electronic total energy, eV/atom: -4.58

a b c (Å): 5.2576 5.2576 3.4560
angles (deg): 90.00 90.00 95.41
With the nearest neighbours (Å) after each atom.
Fractional positions:
Fe 0.5000 0.5000 0.0000  2 N 1.68
N 0.2835 0.7165 0.0000  1 Fe 1.68
N 0.7165 0.2835 0.0000  1 Fe 1.68
Cl 0.2807 0.2807 0.5000  2 Fe 2.32
Cl 0.7193 0.7193 0.5000  2 Fe 2.32

(4)
A plane-wave DFT calculation with PBE-GGA was carried out for Ag3As2C3Se5N after structural relaxation.

Space group: P-1 (2)
Volume, Å³/atom: 29.46
Formation enthalpy at 0 K, eV/atom: 0.311
Electronic total energy, eV/atom: -4.76

a b c (Å): 10.5830 12.3837 6.8783
angles (deg): 105.29 108.34 86.85
With the nearest neighbours (Å) after each atom.
Fractional positions:
Ag 0.1895 0.8134 0.7033  3 Se 2.60-2.69
Ag 0.8105 0.1866 0.2967  3 Se 2.60-2.69
Ag 0.3807 0.0614 0.0467  4 Se 2.66-2.78
Ag 0.6193 0.9386 0.9533  4 Se 2.66-2.78
Ag 0.0684 0.8152 0.1574  3 Se 2.55-2.77
Ag 0.9316 0.1848 0.8426  3 Se 2.55-2.77
As 0.4126 0.8862 0.3986  3 Se 2.42-2.52
As 0.5874 0.1138 0.6014  3 Se 2.42-2.52
As 0.8085 0.9142 0.6347  2 Se 2.39-2.43
As 0.1915 0.0858 0.3653  2 Se 2.39-2.43
C 0.6780 0.4422 0.2115  1 N 1.19
C 0.3220 0.5578 0.7885  1 N 1.19
C 0.7507 0.6232 0.1819  1 C 1.23, 1 N 1.30
C 0.2493 0.3768 0.8181  1 C 1.23, 1 N 1.30
C 0.7859 0.7165 0.1851  1 C 1.23
C 0.2141 0.2835 0.8149  1 C 1.23
Se 0.2725 0.7332 0.3777  1 As 2.42, 2 Ag 2.55-2.60
Se 0.7275 0.2668 0.6223  1 As 2.42, 2 Ag 2.55-2.60
Se 0.9623 0.7785 0.7504  1 As 2.39, 2 Ag 2.59-2.60
Se 0.0377 0.2215 0.2496  1 As 2.39, 2 Ag 2.59-2.60
Se 0.4146 0.8458 0.0339  1 As 2.43, 2 Ag 2.66-2.69
Se 0.5854 0.1542 0.9661  1 As 2.43, 2 Ag 2.66-2.69
Se 0.3814 0.2059 0.4238  2 As 2.43-2.52
Se 0.6186 0.7941 0.5762  2 As 2.43-2.52
Se 0.1704 0.1360 0.7565  1 C 1.82
Se 0.8296 0.8640 0.2435  1 C 1.82
N 0.7135 0.5263 0.1873  2 C 1.19-1.30
N 0.2865 0.4737 0.8127  2 C 1.19-1.30

(5)
A plane-wave DFT calculation with PBE-GGA was carried out for SrSiPt after structural relaxation.

Space group: P2_13 (198)
Volume, Å³/atom: 23.45
Formation enthalpy at 0 K, eV/atom: -0.991
Electronic total energy, eV/atom: -5.39

a b c (Å): 6.5531 6.5531 6.5531
angles (deg): 90.00 90.00 90.00
With the nearest neighbours (Å) after each atom.
Fractional positions:
Sr 0.1313 0.1313 0.1313  4 Pt 3.19-3.33, 4 Si 3.31-3.38
Sr 0.8687 0.6313 0.3687  4 Pt 3.19-3.33, 4 Si 3.31-3.38
Sr 0.3687 0.8687 0.6313  4 Pt 3.19-3.33, 4 Si 3.31-3.38
Sr 0.6313 0.3687 0.8687  4 Pt 3.19-3.33, 4 Si 3.31-3.38
Si 0.3394 0.6606 0.1606  3 Pt 2.37
Si 0.6606 0.1606 0.3394  3 Pt 2.37
Si 0.1606 0.3394 0.6606  3 Pt 2.37
Si 0.8394 0.8394 0.8394  3 Pt 2.37
Pt 0.5878 0.9122 0.0878  3 Si 2.37
Pt 0.4122 0.4122 0.4122  3 Si 2.37
Pt 0.9122 0.0878 0.5878  3 Si 2.37
Pt 0.0878 0.5878 0.9122  3 Si 2.37

(6)
A plane-wave DFT calculation with PBE-GGA was carried out for BaSr2P6N12 after structural relaxation.

Space group: Pa-3 (205)
Volume, Å³/atom: 12.48
Formation enthalpy at 0 K, eV/atom: -1.072
Electronic total energy, eV/atom: -7.43

a b c (Å): 10.1585 10.1585 10.1585
angles (deg): 90.00 90.00 90.00
With the nearest neighbours (Å) after each atom.
Fractional positions:
Ba 0.5000 0.0000 0.5000  12 N 3.01-3.23
Ba 0.0000 0.5000 0.5000  12 N 3.01-3.23
Ba 0.0000 0.0000 0.0000  12 N 3.01-3.23
Ba 0.5000 0.5000 0.0000  12 N 3.01-3.23
Sr 0.1285 0.8715 0.3715  9 N 2.73-2.88
Sr 0.3715 0.1285 0.8715  9 N 2.73-2.88
Sr 0.3715 0.3715 0.3715  9 N 2.73-2.88
Sr 0.1285 0.6285 0.8715  9 N 2.73-2.88
Sr 0.6285 0.6285 0.6285  9 N 2.73-2.88
Sr 0.8715 0.3715 0.1285  9 N 2.73-2.88
Sr 0.8715 0.1285 0.6285  9 N 2.73-2.88
Sr 0.6285 0.8715 0.1285  9 N 2.73-2.88
P 0.8400 0.3868 0.8128  4 N 1.64-1.66
P 0.8128 0.6600 0.8868  4 N 1.64-1.66
P 0.1600 0.8868 0.6872  4 N 1.64-1.66
P 0.8868 0.8128 0.6600  4 N 1.64-1.66
P 0.3400 0.3868 0.6872  4 N 1.64-1.66
P 0.1872 0.1600 0.6132  4 N 1.64-1.66
P 0.8128 0.8400 0.3868  4 N 1.64-1.66
P 0.3868 0.8128 0.8400  4 N 1.64-1.66
P 0.1132 0.1872 0.3400  4 N 1.64-1.66
P 0.6132 0.1872 0.1600  4 N 1.64-1.66
P 0.6132 0.3128 0.6600  4 N 1.64-1.66
P 0.3868 0.6872 0.3400  4 N 1.64-1.66
P 0.6872 0.3400 0.3868  4 N 1.64-1.66
P 0.1872 0.3400 0.1132  4 N 1.64-1.66
P 0.3400 0.1132 0.1872  4 N 1.64-1.66
P 0.6600 0.6132 0.3128  4 N 1.64-1.66
P 0.1132 0.3128 0.8400  4 N 1.64-1.66
P 0.1600 0.6132 0.1872  4 N 1.64-1.66
P 0.8400 0.1132 0.3128  4 N 1.64-1.66
P 0.6600 0.8868 0.8128  4 N 1.64-1.66
P 0.3128 0.6600 0.6132  4 N 1.64-1.66
P 0.6872 0.1600 0.8868  4 N 1.64-1.66
P 0.3128 0.8400 0.1132  4 N 1.64-1.66
P 0.8868 0.6872 0.1600  4 N 1.64-1.66
N 0.8274 0.2411 0.8848  2 P 1.65-1.66
N 0.1152 0.3274 0.2589  2 P 1.65-1.66
N 0.6726 0.7589 0.3848  2 P 1.65-1.66
N 0.0020 0.9108 0.7176  2 P 1.64-1.65
N 0.7176 0.0020 0.9108  2 P 1.64-1.65
N 0.2589 0.3848 0.8274  2 P 1.65-1.66
N 0.4108 0.7824 0.9980  2 P 1.64-1.65
N 0.9980 0.0892 0.2824  2 P 1.64-1.65
N 0.5892 0.2176 0.0020  2 P 1.64-1.65
N 0.6152 0.3274 0.2411  2 P 1.65-1.66
N 0.1726 0.7411 0.6152  2 P 1.65-1.66
N 0.0892 0.2824 0.9980  2 P 1.64-1.65
N 0.7411 0.6152 0.1726  2 P 1.65-1.66
N 0.2589 0.1152 0.3274  2 P 1.65-1.66
N 0.9108 0.7824 0.5020  2 P 1.64-1.65
N 0.3274 0.2411 0.6152  2 P 1.65-1.66
N 0.8274 0.2589 0.3848  2 P 1.65-1.66
N 0.0020 0.5892 0.2176  2 P 1.64-1.65
N 0.7589 0.3848 0.6726  2 P 1.65-1.66
N 0.7411 0.8848 0.6726  2 P 1.65-1.66
N 0.9980 0.4108 0.7824  2 P 1.64-1.65
N 0.2824 0.9980 0.0892  2 P 1.64-1.65
N 0.1726 0.7589 0.1152  2 P 1.65-1.66
N 0.4980 0.0892 0.2176  2 P 1.64-1.65
N 0.2411 0.6152 0.3274  2 P 1.65-1.66
N 0.7176 0.4980 0.4108  2 P 1.64-1.65
N 0.5892 0.2824 0.5020  2 P 1.64-1.65
N 0.2824 0.5020 0.5892  2 P 1.64-1.65
N 0.9108 0.7176 0.0020  2 P 1.64-1.65
N 0.8848 0.6726 0.7411  2 P 1.65-1.66
N 0.7589 0.1152 0.1726  2 P 1.65-1.66
N 0.2176 0.4980 0.0892  2 P 1.64-1.65
N 0.2176 0.0020 0.5892  2 P 1.64-1.65
N 0.6726 0.7411 0.8848  2 P 1.65-1.66
N 0.7824 0.9980 0.4108  2 P 1.64-1.65
N 0.5020 0.5892 0.2824  2 P 1.64-1.65
N 0.6152 0.1726 0.7411  2 P 1.65-1.66
N 0.3274 0.2589 0.1152  2 P 1.65-1.66
N 0.7824 0.5020 0.9108  2 P 1.64-1.65
N 0.4980 0.4108 0.7176  2 P 1.64-1.65
N 0.3848 0.8274 0.2589  2 P 1.65-1.66
N 0.8848 0.8274 0.2411  2 P 1.65-1.66
N 0.0892 0.2176 0.4980  2 P 1.64-1.65
N 0.1152 0.1726 0.7589  2 P 1.65-1.66
N 0.3848 0.6726 0.7589  2 P 1.65-1.66
N 0.2411 0.8848 0.8274  2 P 1.65-1.66
N 0.5020 0.9108 0.7824  2 P 1.64-1.65
N 0.4108 0.7176 0.4980  2 P 1.64-1.65

- Which formula does entry 5 have?
  SrSiPt

- Look up the electronic total energy of the first one.
  -5.78 eV/atom